DFT (PBE) results for a geometry-optimized MgTe4Mo2W2Se2S2 structure.

Cell lengths 3.4037, 3.4036, 45.0964 Å; angles 90.01, 90.00, 120.00 degrees
With the nearest neighbours (Å) after each atom.
Fractional coordinates of all 13 atoms:
Mg 0.0007 0.0013 0.5510  3 S 3.16-3.17, 6 Mg 3.40
Te 0.3334 0.6669 0.3237  3 W 2.72
Te 0.3333 0.6667 0.7069  3 W 2.72
Te 0.3333 0.6666 0.2402  3 W 2.72
Te 0.3332 0.6664 0.6232  3 W 2.73
Mo 0.3333 0.6667 0.0937  6 Se 2.56
Mo 0.3331 0.6663 0.4622  6 S 2.46-2.49
W 0.6667 0.3334 0.2820  6 Te 2.72
W 0.6666 0.3332 0.6652  6 Te 2.72-2.73
Se 0.6666 0.3332 0.0572  3 Mo 2.56
Se 0.6667 0.3335 0.1303  3 Mo 2.56
S 0.6663 0.3327 0.4293  3 Mo 2.46
S 0.6666 0.3332 0.4960  3 Mo 2.49

Magnetization in μB/f.u.: 0.0
Energy relative to the elements in eV per atom: -0.385
E above lowest polymorph in meV/atom: 46.5